No. 1
Entry from Materials Project: a relaxed Ba2EuSbO6 crystal (PBE).

Cell and atoms, written as CIF:
```
data_Ba2EuSbO6
_cell_length_a 8.6231
_cell_length_b 8.6231
_cell_length_c 8.6231
_cell_angle_alpha 90.00
_cell_angle_beta 90.00
_cell_angle_gamma 90.00
_symmetry_space_group_name_H-M 'P 1'
_symmetry_Int_Tables_number 1
_symmetry_space_group_name_Hall 'P 1'
loop_
_atom_site_label
_atom_site_type_symbol
_atom_site_fract_x
_atom_site_fract_y
_atom_site_fract_z
Ba1 Ba 0.2500 0.2500 0.2500
Ba2 Ba 0.2500 0.2500 0.7500
Ba3 Ba 0.2500 0.7500 0.2500
Ba4 Ba 0.2500 0.7500 0.7500
Ba5 Ba 0.7500 0.2500 0.2500
Ba6 Ba 0.7500 0.2500 0.7500
Ba7 Ba 0.7500 0.7500 0.2500
Ba8 Ba 0.7500 0.7500 0.7500
Eu1 Eu 0.0000 0.0000 0.0000
Eu2 Eu 0.0000 0.5000 0.5000
Eu3 Eu 0.5000 0.0000 0.5000
Eu4 Eu 0.5000 0.5000 0.0000
Sb1 Sb 0.0000 0.0000 0.5000
Sb2 Sb 0.0000 0.5000 0.0000
Sb3 Sb 0.5000 0.0000 0.0000
Sb4 Sb 0.5000 0.5000 0.5000
O1 O 0.0110 0.5115 0.7662
O2 O 0.0110 0.9885 0.7338
O3 O 0.0115 0.2338 0.5110
O4 O 0.0115 0.2662 0.9890
O5 O 0.2338 0.5110 0.0115
O6 O 0.2338 0.9890 0.4885
O7 O 0.2662 0.5110 0.4885
O8 O 0.2662 0.9890 0.0115
O9 O 0.4885 0.2338 0.9890
O10 O 0.4885 0.2662 0.5110
O11 O 0.4890 0.5115 0.7338
O12 O 0.4890 0.9885 0.7662
O13 O 0.5110 0.0115 0.2338
O14 O 0.5110 0.4885 0.2662
O15 O 0.5115 0.7338 0.4890
O16 O 0.5115 0.7662 0.0110
O17 O 0.7338 0.0110 0.9885
O18 O 0.7338 0.4890 0.5115
O19 O 0.7662 0.0110 0.5115
O20 O 0.7662 0.4890 0.9885
O21 O 0.9885 0.7338 0.0110
O22 O 0.9885 0.7662 0.4890
O23 O 0.9890 0.0115 0.2662
O24 O 0.9890 0.4885 0.2338
```

***

No. 2
Entry from Materials Project: a relaxed Rb3NaTiO4 crystal (PBE).

Cell and atoms, written as CIF:
```
data_Rb3NaTiO4
_cell_length_a 10.8854
_cell_length_b 6.5006
_cell_length_c 11.0142
_cell_angle_alpha 90.00
_cell_angle_beta 112.64
_cell_angle_gamma 90.00
_symmetry_space_group_name_H-M 'P 1'
_symmetry_Int_Tables_number 1
_symmetry_space_group_name_Hall 'P 1'
loop_
_atom_site_label
_atom_site_type_symbol
_atom_site_fract_x
_atom_site_fract_y
_atom_site_fract_z
Rb1 Rb 0.0381 0.1545 0.1695
Rb2 Rb 0.0381 0.3455 0.6695
Rb3 Rb 0.3202 0.6232 0.8945
Rb4 Rb 0.3202 0.8768 0.3945
Rb5 Rb 0.4558 0.1155 0.8110
Rb6 Rb 0.4558 0.3845 0.3110
Rb7 Rb 0.5442 0.6155 0.6890
Rb8 Rb 0.5442 0.8845 0.1890
Rb9 Rb 0.6798 0.1232 0.6055
Rb10 Rb 0.6798 0.3768 0.1055
Rb11 Rb 0.9619 0.6545 0.3305
Rb12 Rb 0.9619 0.8455 0.8305
Na1 Na 0.1279 0.6119 0.1086
Na2 Na 0.1279 0.8881 0.6086
Na3 Na 0.8721 0.1119 0.3914
Na4 Na 0.8721 0.3881 0.8914
Ti1 Ti 0.2413 0.1358 0.9854
Ti2 Ti 0.2413 0.3642 0.4854
Ti3 Ti 0.7587 0.6358 0.5146
Ti4 Ti 0.7587 0.8642 0.0146
O1 O 0.1130 0.1617 0.4618
O2 O 0.1130 0.3383 0.9618
O3 O 0.2082 0.0211 0.8226
O4 O 0.2082 0.4789 0.3226
O5 O 0.2342 0.5721 0.5983
O6 O 0.2342 0.9279 0.0983
O7 O 0.4091 0.2495 0.5457
O8 O 0.4091 0.2505 0.0457
O9 O 0.5909 0.7495 0.9543
O10 O 0.5909 0.7505 0.4543
O11 O 0.7658 0.0721 0.9017
O12 O 0.7658 0.4279 0.4017
O13 O 0.7918 0.5211 0.6774
O14 O 0.7918 0.9789 0.1774
O15 O 0.8870 0.6617 0.0382
O16 O 0.8870 0.8383 0.5382
```

***

No. 3
Entry from Materials Project: a relaxed Ce3AlO crystal (PBE).

Cell and atoms, written as CIF:
```
data_Ce3AlO
_cell_length_a 4.8271
_cell_length_b 4.8271
_cell_length_c 4.8271
_cell_angle_alpha 90.00
_cell_angle_beta 90.00
_cell_angle_gamma 90.00
_symmetry_space_group_name_H-M 'P 1'
_symmetry_Int_Tables_number 1
_symmetry_space_group_name_Hall 'P 1'
loop_
_atom_site_label
_atom_site_type_symbol
_atom_site_fract_x
_atom_site_fract_y
_atom_site_fract_z
Ce1 Ce 0.0000 0.0000 0.5000
Ce2 Ce 0.0000 0.5000 0.0000
Ce3 Ce 0.5000 0.0000 0.0000
Al1 Al 0.5000 0.5000 0.5000
O1 O 0.0000 0.0000 0.0000
```

***

No. 4
Entry from Materials Project: a relaxed Na3Ta4Zn2P9O36 crystal (PBE).

Cell and atoms, written as CIF:
```
data_Na3Ta4Zn2P9O36
_cell_length_a 8.7539
_cell_length_b 8.7539
_cell_length_c 22.7291
_cell_angle_alpha 90.00
_cell_angle_beta 90.00
_cell_angle_gamma 120.00
_symmetry_space_group_name_H-M 'P 1'
_symmetry_Int_Tables_number 1
_symmetry_space_group_name_Hall 'P 1'
loop_
_atom_site_label
_atom_site_type_symbol
_atom_site_fract_x
_atom_site_fract_y
_atom_site_fract_z
Na1 Na 0.0000 0.0000 0.0000
Na2 Na 0.0000 0.0000 0.5000
Na3 Na 0.3333 0.6667 0.1557
Na4 Na 0.3333 0.6667 0.6557
Na5 Na 0.6667 0.3333 0.3261
Na6 Na 0.6667 0.3333 0.8261
Ta1 Ta 0.0000 0.0000 0.1422
Ta2 Ta 0.0000 0.0000 0.3528
Ta3 Ta 0.0000 0.0000 0.6422
Ta4 Ta 0.0000 0.0000 0.8528
Ta5 Ta 0.3333 0.6667 0.3114
Ta6 Ta 0.3333 0.6667 0.8114
Ta7 Ta 0.6667 0.3333 0.4816
Ta8 Ta 0.6667 0.3333 0.9816
Zn1 Zn 0.3333 0.6667 0.0183
Zn2 Zn 0.3333 0.6667 0.5183
Zn3 Zn 0.6667 0.3333 0.1848
Zn4 Zn 0.6667 0.3333 0.6848
P1 P 0.0448 0.3795 0.4172
P2 P 0.0448 0.6653 0.9172
P3 P 0.2904 0.0022 0.7490
P4 P 0.2904 0.2882 0.2490
P5 P 0.3347 0.3795 0.9172
P6 P 0.3347 0.9552 0.4172
P7 P 0.3805 0.0407 0.0854
P8 P 0.3805 0.3398 0.5854
P9 P 0.6205 0.6653 0.4172
P10 P 0.6205 0.9552 0.9172
P11 P 0.6602 0.0407 0.5854
P12 P 0.6602 0.6195 0.0854
P13 P 0.7118 0.0022 0.2490
P14 P 0.7118 0.7096 0.7490
P15 P 0.9593 0.3398 0.0854
P16 P 0.9593 0.6195 0.5854
P17 P 0.9978 0.2882 0.7490
P18 P 0.9978 0.7096 0.2490
O1 O 0.0161 0.1900 0.4047
O2 O 0.0161 0.8261 0.9047
O3 O 0.0304 0.2003 0.6946
O4 O 0.0304 0.8301 0.1946
O5 O 0.1337 0.4954 0.3608
O6 O 0.1337 0.6383 0.8608
O7 O 0.1425 0.4910 0.0757
O8 O 0.1425 0.6514 0.5757
O9 O 0.1543 0.4492 0.4712
O10 O 0.1543 0.7051 0.9712
O11 O 0.1699 0.2003 0.1946
O12 O 0.1699 0.9696 0.6946
O13 O 0.1717 0.4707 0.7580
O14 O 0.1717 0.7010 0.2580
O15 O 0.1739 0.1900 0.9047
O16 O 0.1739 0.9839 0.4047
O17 O 0.1909 0.0164 0.8040
O18 O 0.1909 0.1745 0.3040
O19 O 0.1934 0.0331 0.0900
O20 O 0.1934 0.1603 0.5900
O21 O 0.2949 0.4492 0.9712
O22 O 0.2949 0.8457 0.4712
O23 O 0.2990 0.4707 0.2580
O24 O 0.2990 0.8283 0.7580
O25 O 0.3486 0.4910 0.5757
O26 O 0.3486 0.8575 0.0757
O27 O 0.3617 0.4954 0.8608
O28 O 0.3617 0.8663 0.3608
O29 O 0.4679 0.1632 0.0282
O30 O 0.4679 0.3047 0.5282
O31 O 0.4698 0.1622 0.7469
O32 O 0.4698 0.3076 0.2469
O33 O 0.4856 0.1253 0.1398
O34 O 0.4856 0.3603 0.6398
O35 O 0.5008 0.1428 0.4221
O36 O 0.5008 0.3580 0.9221
O37 O 0.5046 0.6383 0.3608
O38 O 0.5046 0.8663 0.8608
O39 O 0.5090 0.6514 0.0757
O40 O 0.5090 0.8575 0.5757
O41 O 0.5293 0.7010 0.7580
O42 O 0.5293 0.8283 0.2580
O43 O 0.5508 0.7051 0.4712
O44 O 0.5508 0.8457 0.9712
O45 O 0.6397 0.1253 0.6398
O46 O 0.6397 0.5144 0.1398
O47 O 0.6420 0.1428 0.9221
O48 O 0.6420 0.4992 0.4221
O49 O 0.6924 0.1622 0.2469
O50 O 0.6924 0.5302 0.7469
O51 O 0.6953 0.1632 0.5282
O52 O 0.6953 0.5321 0.0282
O53 O 0.7997 0.8301 0.6946
O54 O 0.7997 0.9696 0.1946
O55 O 0.8100 0.8261 0.4047
O56 O 0.8100 0.9839 0.9047
O57 O 0.8255 0.0164 0.3040
O58 O 0.8255 0.8091 0.8040
O59 O 0.8368 0.3047 0.0282
O60 O 0.8368 0.5321 0.5282
O61 O 0.8378 0.3076 0.7469
O62 O 0.8378 0.5302 0.2469
O63 O 0.8397 0.0331 0.5900
O64 O 0.8397 0.8066 0.0900
O65 O 0.8572 0.3580 0.4221
O66 O 0.8572 0.4992 0.9221
O67 O 0.8747 0.3603 0.1398
O68 O 0.8747 0.5144 0.6398
O69 O 0.9669 0.1603 0.0900
O70 O 0.9669 0.8066 0.5900
O71 O 0.9836 0.1745 0.8040
O72 O 0.9836 0.8091 0.3040
```

***

Number 1: ΔH_f (0 K) -2.8543 eV/atom, uncorrected energy -289.3 eV per cell. Number 2: ΔH_f (0 K) -2.3615 eV/atom, uncorrected energy -201.8 eV per cell. Number 3: ΔH_f (0 K) -1.4076 eV/atom, uncorrected energy -32.8 eV per cell. Number 4: ΔH_f (0 K) -2.8201 eV/atom, uncorrected energy -816.6 eV per cell.